A geometry-optimized EuGa2S4 structure. Source: the Materials Project, functional GGA-PBE.

extended XYZ file:
```
14
Lattice="3.038 -5.191 0.000 3.038 5.191 0.000 0.000 0.000 10.481" Properties=species:S:1:pos:R:3 pbc="T T T"
Eu 0.000 0.000 2.620
Eu 0.000 0.000 7.861
Ga 3.033 2.482 0.000
Ga 3.042 2.482 5.241
Ga 3.033 -2.482 5.241
Ga 3.042 -2.482 0.000
S 1.519 2.596 3.507
S 1.519 2.596 6.974
S 1.412 0.858 0.000
S 1.412 -0.858 5.241
S 1.519 -2.596 1.733
S 1.519 -2.596 8.748
S 4.663 0.858 5.241
S 4.663 -0.858 0.000
```

Its space group is No. 66. Its electronic total energy is -5.826 eV per atom.

***

A geometry-optimized EuGa2Sb2 structure. Source: the Materials Project, functional GGA-PBE.

extended XYZ file:
```
20
Lattice="18.289 0.000 0.000 0.000 4.400 0.000 0.000 0.000 6.699" Properties=species:S:1:pos:R:3 pbc="T T T"
Eu 2.124 1.100 1.506
Eu 7.021 3.300 4.856
Eu 11.269 1.100 1.843
Eu 16.166 3.300 5.192
Ga 1.267 3.300 3.730
Ga 3.807 3.300 3.567
Ga 5.338 1.100 0.217
Ga 7.878 1.100 0.380
Ga 10.412 3.300 6.318
Ga 12.951 3.300 6.481
Ga 14.483 1.100 3.132
Ga 17.023 1.100 2.969
Sb 0.557 1.100 5.174
Sb 3.867 3.300 6.291
Sb 5.278 1.100 2.941
Sb 8.588 3.300 1.824
Sb 9.702 1.100 4.875
Sb 13.011 3.300 3.758
Sb 14.423 1.100 0.408
Sb 17.732 3.300 1.525
```

Its space group is No. 62. Its electronic total energy is -5.413 eV per atom.

***

A geometry-optimized EuGa2Te4 structure. Source: the Materials Project, functional GGA-PBE.

extended XYZ file:
```
14
Lattice="3.407 -5.842 0.000 3.407 5.842 0.000 0.000 0.000 11.715" Properties=species:S:1:pos:R:3 pbc="T T T"
Eu 0.000 0.000 2.929
Eu 0.000 0.000 8.786
Ga 3.401 2.824 0.000
Ga 3.413 2.824 5.858
Ga 3.401 -2.824 5.858
Ga 3.413 -2.824 0.000
Te 1.704 2.921 2.072
Te 1.704 2.921 9.643
Te 1.599 0.865 5.858
Te 1.599 -0.865 0.000
Te 1.704 -2.921 3.786
Te 1.704 -2.921 7.930
Te 5.216 0.865 0.000
Te 5.216 -0.865 5.858
```

Its space group is No. 66. Its electronic total energy is -4.853 eV per atom.